This record from the Materials Project database describes Li2FeF4 after structural relaxation. The functional is PBE with a Hubbard U.

Total magnetic moment (μB per formula unit): 4.0
VASP energy (eV/atom): -5.149
Calculated volume (Å³/cell): 157.5

a b c (Å): 5.837 5.837 5.409
angles (deg): 92.92 92.92 58.87
Fractional positions:
Li 0.062 0.342 0.285
Li 0.342 0.062 0.785
Li 0.658 0.938 0.215
Li 0.938 0.658 0.715
Fe 0.354 0.646 0.250
Fe 0.646 0.354 0.750
F 0.003 0.286 0.618
F 0.268 0.496 0.909
F 0.286 0.003 0.118
F 0.496 0.268 0.409
F 0.504 0.732 0.591
F 0.714 0.997 0.882
F 0.732 0.504 0.091
F 0.997 0.714 0.382